14
Lattice="-3.180 3.517 4.482 3.180 -3.517 4.482 3.180 3.517 -4.482" Properties=species:S:1:pos:R:3 comment="GGA-PBE MgSn2O4, optimized geometry" de_polymorph_ev_per_atom=0.0000 ef_mev_per_atom=-2144.5 m_tot_mub_per_fu=0.00 rho_g_cm3=5.4 pbc="T T T"
Mg 0.000 0.000 0.000
Mg 0.000 3.517 0.000
Sn 1.590 1.758 -2.241
Sn 1.590 -1.758 2.241
Sn 3.180 1.758 1.213
Sn 0.000 1.758 3.269
O 3.180 3.152 -2.375
O 3.180 -0.365 2.375
O 1.446 1.758 -0.144
O 1.734 -1.758 4.338
O 1.446 5.275 0.144
O 1.734 1.758 4.626
O 0.000 3.882 2.108
O 0.000 0.365 6.857

40
Lattice="7.560 0.000 0.000 0.000 16.688 0.000 -7.395 0.000 7.742" Properties=species:S:1:pos:R:3 comment="GGA-PBE HgAsC4Se3N, optimized geometry" de_polymorph_ev_per_atom=0.0365 ef_mev_per_atom=994.6 m_tot_mub_per_fu=0.01 rho_g_cm3=3.9 pbc="T T T"
Hg -0.818 0.873 2.352
Hg -4.515 7.471 6.223
Hg 4.680 9.217 1.519
Hg 0.983 15.815 5.390
As 1.237 9.166 1.249
As -2.461 15.867 5.120
As 2.626 0.821 2.622
As -1.072 7.523 6.493
C -0.795 11.078 3.291
C -4.493 13.955 7.162
C -3.127 2.577 6.022
C 0.570 5.767 2.151
C -1.149 10.271 4.436
C 2.549 14.761 0.565
C -0.523 11.908 4.443
C 3.175 13.124 0.572
C -3.010 3.564 7.170
C 0.688 4.780 3.299
C -2.383 1.927 7.177
C 1.314 6.417 3.306
C -0.405 10.922 5.591
C 3.292 14.111 1.720
C 4.658 2.734 0.580
C 0.960 5.611 4.451
Se -0.764 11.057 1.444
Se -4.461 13.976 5.315
Se -4.905 9.903 7.105
Se -1.207 15.130 3.234
Se 1.234 1.525 0.852
Se -2.463 6.819 4.723
Se 2.629 9.869 3.019
Se -1.069 15.164 6.890
Se 1.372 1.558 4.508
Se 5.070 6.786 0.637
Se 4.626 2.712 2.427
Se 0.929 5.632 6.298
N -1.753 11.436 5.216
N 1.944 13.597 1.345
N -1.779 3.092 6.397
N 1.918 5.252 2.526

30
Lattice="0.000 11.754 3.941 3.918 0.000 3.941 3.918 11.754 0.000" Properties=species:S:1:pos:R:3 comment="GGA-PBE Sr2CaTi3O9, optimized geometry" de_polymorph_ev_per_atom=0.0054 ef_mev_per_atom=-3536.1 m_tot_mub_per_fu=0.00 rho_g_cm3=4.6 pbc="T T T"
Sr 0.000 0.000 0.000
Sr 3.918 3.920 3.941
Sr 3.918 11.754 3.941
Sr 3.918 19.588 3.941
Ca 3.918 7.837 3.941
Ca 3.918 15.671 3.941
Ti 1.960 1.965 1.971
Ti 1.959 5.877 1.971
Ti 1.958 9.789 1.971
Ti 5.876 13.718 5.911
Ti 5.877 17.631 5.911
Ti 5.879 21.543 5.911
O 1.959 5.877 0.001
O 3.918 6.094 1.982
O 5.670 11.754 1.970
O 2.176 3.919 1.960
O 3.918 9.576 1.983
O 5.872 9.789 3.941
O 5.872 13.719 3.941
O 3.918 13.932 1.983
O 1.742 7.835 1.960
O 2.167 11.754 1.970
O 3.918 17.414 1.982
O 5.877 17.631 3.941
O 1.965 9.789 3.941
O 3.918 10.001 5.910
O 5.660 15.673 5.901
O 6.094 19.589 5.901
O 3.918 13.507 5.910
O 1.965 13.719 3.941

4
Lattice="-4.107 4.107 2.029 4.107 -4.107 2.029 4.107 4.107 -2.029" Properties=species:S:1:pos:R:3 comment="GGA-PBE Sb, optimized geometry" de_polymorph_ev_per_atom=0.2706 ef_mev_per_atom=270.6 m_tot_mub_per_fu=0.00 rho_g_cm3=5.9 pbc="T T T"
Sb 5.340 1.233 0.000
Sb 1.233 2.874 0.000
Sb 2.874 1.233 2.029
Sb -1.233 2.874 2.029

28
Lattice="6.825 0.000 0.000 0.000 8.227 0.000 -3.531 0.000 7.990" Properties=species:S:1:pos:R:3 comment="GGA-PBE LaSClO4, optimized geometry" ef_mev_per_atom=-2615.1 m_tot_mub_per_fu=0.00 rho_g_cm3=4.0 pbc="T T T"
La 0.010 1.584 1.848
La -1.755 2.530 5.843
La 5.050 5.697 2.147
La 3.284 6.643 6.142
S 1.649 4.786 0.528
S -0.117 7.554 4.523
S 3.411 0.673 3.467
S 1.646 3.441 7.462
Cl -1.877 0.296 7.741
Cl -0.112 3.817 3.746
Cl 3.406 4.410 4.243
Cl 5.172 7.931 0.248
O 0.486 5.606 0.959
O -1.279 6.735 4.954
O -1.890 4.837 6.997
O -0.124 7.503 3.002
O -0.249 0.751 4.913
O 1.517 3.362 0.918
O 2.902 5.355 1.035
O 1.137 6.985 5.030
O 2.157 1.242 2.960
O 0.392 2.872 6.955
O 1.778 4.865 7.072
O 3.543 7.476 3.077
O 3.419 0.724 4.987
O 5.184 3.390 0.993
O 4.574 1.492 3.036
O 2.808 2.621 7.031

28
Lattice="3.941 2.275 5.400 -3.941 2.275 5.400 0.000 -4.551 5.400" Properties=species:S:1:pos:R:3 comment="GGA-PBE Li4H7RhS3O13, optimized geometry" de_polymorph_ev_per_atom=0.0000 ef_mev_per_atom=-1414.6 m_tot_mub_per_fu=0.00 rho_g_cm3=2.5 pbc="T T T"
Li 0.000 0.000 0.000
Li -1.316 -1.187 8.567
Li -0.370 1.733 8.567
Li 1.686 -0.546 8.567
H -2.050 1.009 4.148
H -0.971 -1.337 4.756
H 0.151 -2.280 4.148
H -0.672 1.510 4.756
H 1.644 -0.173 4.756
H 1.899 1.271 4.148
H 0.000 0.000 12.276
Rh 0.000 0.000 2.695
S -2.547 -0.041 6.164
S 1.309 -2.186 6.164
S 1.238 2.226 6.164
O -0.608 -1.671 3.901
O -1.143 1.362 3.901
O -2.501 1.294 6.983
O 0.130 -2.813 6.983
O -2.525 -0.872 10.347
O 1.751 0.309 3.901
O 0.000 0.000 8.381
O -1.427 -0.015 12.477
O 2.017 -1.751 10.347
O 0.726 -1.228 12.477
O 2.371 1.519 6.983
O 0.508 2.622 10.347
O 0.701 1.243 12.477